(1)
## CaZn2Si2O8 (PBE)

Data for CaZn2Si2O8 after structural relaxation.

Structure (CIF):
```
data_CaZn2Si2O8
_chemical_formula_sum 'Ca4 Zn8 Si8 O32'
_space_group_name_H-M_alt 'A m a 2'
_space_group_IT_number 40
_cell_length_a 12.748
_cell_length_b 6.294
_cell_length_c 8.611
_cell_angle_alpha 90.00
_cell_angle_beta 90.00
_cell_angle_gamma 90.00
loop_
_space_group_symop_operation_xyz
'x,y,z'
'-x,-y,z'
'-x+1/2,y,z'
'x+1/2,-y,z'
'x,y+1/2,z+1/2'
'-x,-y+1/2,z+1/2'
'-x+1/2,y+1/2,z+1/2'
'x+1/2,-y+1/2,z+1/2'
loop_
_atom_site_label
_atom_site_fract_x
_atom_site_fract_y
_atom_site_fract_z
Ca1 0.250 0.242 0.000
Zn1 0.000 0.000 0.387
Zn2 0.000 0.000 0.895
Si1 0.133 0.240 0.629
O1 0.045 0.246 0.771
O2 0.124 0.023 0.528
O3 0.125 0.459 0.527
O4 0.250 0.240 0.720
O5 0.250 0.268 0.285
```

Density = 3.414 g cm⁻³
DFT formation energy = -2.487 eV/atom
Calculated volume = 690.9 Å³ per cell

=====

(2)
## BaNpP2O8 (PBE)

Data for BaNpP2O8 after structural relaxation.

Structure (CIF):
```
data_BaNpP2O8
_chemical_formula_sum 'Ba4 Np4 P8 O32'
_space_group_name_H-M_alt 'C 1 2/c 1'
_space_group_IT_number 15
_cell_length_a 12.816
_cell_length_b 5.436
_cell_length_c 9.537
_cell_angle_alpha 90.00
_cell_angle_beta 102.74
_cell_angle_gamma 90.00
loop_
_space_group_symop_operation_xyz
'x,y,z'
'-x,-y,-z'
'-x,y,-z+1/2'
'x,-y,z+1/2'
'x+1/2,y+1/2,z'
'-x+1/2,-y+1/2,-z'
'-x+1/2,y+1/2,-z+1/2'
'x+1/2,-y+1/2,z+1/2'
loop_
_atom_site_label
_atom_site_fract_x
_atom_site_fract_y
_atom_site_fract_z
Ba1 0.250 0.250 0.000
Np1 0.000 0.182 0.250
P1 0.088 0.264 0.611
O1 0.031 0.185 0.910
O2 0.108 0.480 0.184
O3 0.122 0.282 0.464
O4 0.152 0.056 0.706
```

Density = 5.783 g cm⁻³
DFT formation energy = -3.191 eV/atom
Calculated volume = 648.1 Å³ per cell

=====

(3)
## Nd23Cd4Pt7 (PBE)

Data for Nd23Cd4Pt7 after structural relaxation.

Structure (CIF):
```
data_Nd23Cd4Pt7
_chemical_formula_sum 'Nd46 Cd8 Pt14'
_space_group_name_H-M_alt 'P 63 m c'
_space_group_IT_number 186
_space_group_name_Hall 'P 6c -2c'
_cell_length_a 10.0984
_cell_length_b 10.0984
_cell_length_c 22.8459
_cell_angle_alpha 90.00
_cell_angle_beta 90.00
_cell_angle_gamma 120.00
loop_
_atom_site_label
_atom_site_fract_x
_atom_site_fract_y
_atom_site_fract_z
Nd1 0.0000 0.0000 0.0507
Nd2 0.0774 0.5387 0.1395
Nd3 0.0871 0.5435 0.4109
Nd4 0.1289 0.2577 0.6909
Nd5 0.1985 0.3971 0.8386
Nd6 0.2054 0.4108 0.2755
Nd7 0.2057 0.4114 0.0000
Nd8 0.2113 0.4227 0.5440
Nd9 0.3333 0.6667 0.6969
Cd1 0.0000 0.0000 0.3034
Cd2 0.1075 0.2151 0.4181
Pt1 0.0457 0.5228 0.7654
Pt2 0.1429 0.2857 0.1193
Pt3 0.3333 0.6667 0.9158
```

Density = 8.449 g cm⁻³
DFT formation energy = -0.597 eV/atom
Calculated volume = 2017.6 Å³ per cell

=====

(4)
## LaZn2Ni3 (PBE)

Data for LaZn2Ni3 after structural relaxation.

Structure (CIF):
```
data_LaZn2Ni3
_chemical_formula_sum 'La1 Zn2 Ni3'
_space_group_name_H-M_alt 'P 6/m m m'
_space_group_IT_number 191
_space_group_name_Hall '-P 6 2'
_cell_length_a 5.2420
_cell_length_b 5.2420
_cell_length_c 3.9074
_cell_angle_alpha 90.00
_cell_angle_beta 90.00
_cell_angle_gamma 120.00
loop_
_atom_site_label
_atom_site_fract_x
_atom_site_fract_y
_atom_site_fract_z
La1 0.0000 0.0000 0.0000
Zn1 0.3333 0.6667 0.0000
Ni1 0.0000 0.5000 0.5000
```

Density = 7.959 g cm⁻³
DFT formation energy = -0.360 eV/atom
Calculated volume = 93.0 Å³ per cell

=====

(5)
## Mg2Si (PBE)

Data for Mg2Si after structural relaxation.

Structure (CIF):
```
data_Mg2Si
_chemical_formula_sum 'Mg8 Si4'
_space_group_name_H-M_alt 'P 1 21 1'
_space_group_IT_number 4
_cell_length_a 6.187
_cell_length_b 5.757
_cell_length_c 7.213
_cell_angle_alpha 90.00
_cell_angle_beta 105.89
_cell_angle_gamma 90.00
loop_
_space_group_symop_operation_xyz
'x,y,z'
'-x,y+1/2,-z'
loop_
_atom_site_label
_atom_site_fract_x
_atom_site_fract_y
_atom_site_fract_z
Mg1 0.053 0.000 0.412
Mg2 0.242 0.395 0.998
Mg3 0.318 0.893 0.126
Mg4 0.390 0.476 0.447
Si1 0.034 0.038 0.780
Si2 0.343 0.753 0.765
```

Density = 2.062 g cm⁻³
DFT formation energy = 0.060 eV/atom
Calculated volume = 247.1 Å³ per cell

=====

(6)
## ZrTiCo4 (PBE)

Data for ZrTiCo4 after structural relaxation.

Structure (CIF):
```
data_ZrTiCo4
_chemical_formula_sum 'Zr4 Ti4 Co16'
_space_group_name_H-M_alt 'F -4 3 m'
_space_group_IT_number 216
_space_group_name_Hall 'F -4 2 3'
_cell_length_a 6.782
_cell_length_b 6.782
_cell_length_c 6.782
_cell_angle_alpha 90.00
_cell_angle_beta 90.00
_cell_angle_gamma 90.00
loop_
_atom_site_label
_atom_site_fract_x
_atom_site_fract_y
_atom_site_fract_z
Zr1 0.000 0.000 0.000
Ti1 0.250 0.250 0.750
Co1 0.124 0.124 0.376
```

Density = 7.982 g cm⁻³
DFT formation energy = -0.307 eV/atom
Calculated volume = 311.9 Å³ per cell

=====

(7)
## LuSeO3F (PBE)

Data for LuSeO3F after structural relaxation.

Structure (CIF):
```
data_LuSeO3F
_chemical_formula_sum 'Lu2 Se2 O6 F2'
_space_group_name_H-M_alt 'P -1'
_space_group_IT_number 2
_cell_length_a 4.293
_cell_length_b 6.505
_cell_length_c 6.900
_cell_angle_alpha 91.83
_cell_angle_beta 93.79
_cell_angle_gamma 96.64
loop_
_space_group_symop_operation_xyz
'x,y,z'
'-x,-y,-z'
loop_
_atom_site_label
_atom_site_fract_x
_atom_site_fract_y
_atom_site_fract_z
Lu1 0.040 0.132 0.255
Se1 0.180 0.359 0.772
O1 0.012 0.179 0.931
O2 0.096 0.478 0.266
O3 0.101 0.175 0.579
F1 0.460 0.851 0.755
```

Density = 5.585 g cm⁻³
DFT formation energy = -2.860 eV/atom
Relative energy among the computed polymorphs = 2 meV per atom
Calculated volume = 190.8 Å³ per cell

=====

(8)
## Sr3Ta2N4 (PBE)

Data for Sr3Ta2N4 after structural relaxation.

Structure (CIF):
```
data_Sr3Ta2N4
_chemical_formula_sum 'Sr12 Ta8 N16'
_space_group_name_H-M_alt 'C 1 2/c 1'
_space_group_IT_number 15
_cell_length_a 15.116
_cell_length_b 8.413
_cell_length_c 5.445
_cell_angle_alpha 90.00
_cell_angle_beta 91.17
_cell_angle_gamma 90.00
loop_
_space_group_symop_operation_xyz
'x,y,z'
'-x,-y,-z'
'-x,y,-z+1/2'
'x,-y,z+1/2'
'x+1/2,y+1/2,z'
'-x+1/2,-y+1/2,-z'
'-x+1/2,y+1/2,-z+1/2'
'x+1/2,-y+1/2,z+1/2'
loop_
_atom_site_label
_atom_site_fract_x
_atom_site_fract_y
_atom_site_fract_z
Sr1 0.000 0.121 0.250
Sr2 0.129 0.376 0.553
Ta1 0.197 0.101 0.948
N1 0.127 0.069 0.630
N2 0.168 0.317 0.061
```

Density = 6.533 g cm⁻³
DFT formation energy = -0.940 eV/atom
Relative energy among the computed polymorphs = 19 meV per atom
Calculated volume = 692.2 Å³ per cell